Material: LaGa2Pd2
Method: DFT, PBE-GGA
State: relaxed

Formation enthalpy at 0 K in eV/atom: -0.84
Volume in A^3/atom: 20.0
VASP energy in eV per formula unit: -25.528
Symmetry: P4/nmm, No. 129

The structure in POSCAR format:
```
LaGa2Pd2
1.0
4.4435 0.0000 0.0000
0.0000 4.4435 0.0000
0.0000 0.0000 10.1232
La Ga Pd
2 4 4
Direct
0.2500 0.2500 0.2490
0.7500 0.7500 0.7510
0.2500 0.2500 0.6230
0.2500 0.7500 0.0000
0.7500 0.2500 0.0000
0.7500 0.7500 0.3770
0.2500 0.2500 0.8715
0.2500 0.7500 0.5000
0.7500 0.2500 0.5000
0.7500 0.7500 0.1285
```